# Ho2CuPd

A relaxed Ho2CuPd crystal (PBE-GGA, the Materials Project).

It has space group Fm-3m (No. 225), with a = 6.9316 Å, b = 6.9316 Å, c = 6.9316 Å, α = 90.00°, β = 90.00° and γ = 90.00°. The inequivalent atoms are Ho at (0.2500, 0.2500, 0.2500), Cu at (0.0000, 0.0000, 0.0000) and Pd at (0.0000, 0.0000, 0.5000).

As for the volume: 333.0 Å³ per cell. As for the formation energy: -56.9 kJ/mol of atoms.